Compound: Li2H2Pt
Source: the Materials Project
Functional: PBE-GGA
Structure: optimized geometry

Results
- ΔH_f (0 K): -48 kJ/mol of atoms

a = 5.5240 Å, b = 5.5240 Å, c = 5.5240 Å
α = 148.29°, β = 144.94°, γ = 47.99°
With the nearest neighbours (Å) after each atom.
Positions (direct):
H (0.8347, 0.8347, 0.0000)  1 Pt 1.67
Pt (0.0000, 0.0000, 0.0000)  2 H 1.67
Li (0.6393, 0.6393, 0.0000)  1 H 1.97
H (0.1653, 0.1653, 0.0000)  1 Pt 1.67
Li (0.3607, 0.3607, 0.0000)  1 H 1.97

Compound: TiS2N
Source: the Materials Project
Functional: PBE-GGA
Structure: optimized geometry

Results
- ΔH_f (0 K): 1 kJ/mol of atoms

a = 3.4221 Å, b = 3.4221 Å, c = 8.9411 Å
α = 78.97°, β = 78.97°, γ = 60.00°
With the nearest neighbours (Å) after each atom.
Positions (direct):
S (0.3876, 0.3876, 0.8372)  3 Ti 2.43
Ti (0.0000, 0.0000, 0.0001)  6 S 2.43
S (0.6124, 0.6124, 0.1629)  3 Ti 2.43
N (0.1670, 0.1670, 0.4989)  6 N 3.42, 6 S 3.53-3.55

Compound: LiPr2Zn2P2O2
Source: the Materials Project
Functional: PBE-GGA
Structure: optimized geometry

Results
- ΔH_f (0 K): -150 kJ/mol of atoms
- Distance to the lowest polymorph of the same formula: 0.1670 eV per atom

a = 10.9521 Å, b = 10.9521 Å, c = 10.9521 Å
α = 21.16°, β = 21.16°, γ = 21.16°
With the nearest neighbours (Å) after each atom.
Positions (direct):
Zn (0.1957, 0.1957, 0.1957)  4 P 2.42-2.55
O (0.3078, 0.3078, 0.3078)  3 Li 2.46, 4 Pr 2.51-2.61
Zn (0.8043, 0.8043, 0.8043)  4 P 2.42-2.55
P (0.1163, 0.1163, 0.1163)  4 Zn 2.42-2.55
O (0.6922, 0.6922, 0.6922)  3 Li 2.46, 4 Pr 2.51-2.61
P (0.8837, 0.8837, 0.8837)  4 Zn 2.42-2.55
Pr (0.6111, 0.6111, 0.6111)  4 O 2.51-2.61
Li (0.0000, 0.0000, 0.0000)  6 O 2.46
Pr (0.3889, 0.3889, 0.3889)  4 O 2.51-2.61

Compound: CeIn2Pt2
Source: the Materials Project
Functional: PBE-GGA
Structure: optimized geometry

Results
- ΔH_f (0 K): -74 kJ/mol of atoms

a = 4.4979 Å, b = 10.3394 Å, c = 10.3832 Å
α = 62.82°, β = 90.00°, γ = 90.00°
With the nearest neighbours (Å) after each atom.
Positions (direct):
Pt (0.7500, 0.1569, 0.5802)  5 In 2.87-2.96, 3 Ce 2.92-3.19, 2 Pt 2.98-3.11
Pt (0.2500, 0.9315, 0.1037)  3 In 2.81-2.84, 4 Pt 2.91-2.99, 3 Ce 2.95-3.11
Pt (0.2500, 0.8431, 0.4198)  5 In 2.87-2.96, 3 Ce 2.92-3.19, 2 Pt 2.98-3.11
Ce (0.2500, 0.9532, 0.7951)  7 Pt 2.95-3.22
Pt (0.7500, 0.0685, 0.8963)  3 In 2.81-2.84, 4 Pt 2.91-2.99, 3 Ce 2.95-3.11
In (0.7500, 0.8828, 0.5729)  4 Pt 2.71-2.89
Ce (0.2500, 0.5983, 0.7099)  5 Pt 2.92-3.23
In (0.7500, 0.4071, 0.9611)  4 Pt 2.79-2.82
In (0.2500, 0.2307, 0.8988)  6 Pt 2.81-2.95, 2 In 3.14
In (0.2500, 0.5929, 0.0389)  4 Pt 2.79-2.82
In (0.7500, 0.7693, 0.1012)  6 Pt 2.81-2.95, 2 In 3.14
In (0.7500, 0.6458, 0.4470)  5 Pt 2.82-2.96
Ce (0.7500, 0.0468, 0.2049)  7 Pt 2.95-3.22
Pt (0.7500, 0.7077, 0.8619)  5 In 2.71-2.83
Pt (0.2500, 0.2923, 0.1381)  5 In 2.71-2.83
In (0.2500, 0.1172, 0.4271)  4 Pt 2.71-2.89
Ce (0.7500, 0.4017, 0.2901)  5 Pt 2.92-3.23
In (0.2500, 0.3542, 0.5530)  5 Pt 2.82-2.96
Pt (0.7500, 0.3801, 0.7032)  6 In 2.82-2.95, 2 Pt 2.91-3.11
Pt (0.2500, 0.6199, 0.2968)  6 In 2.82-2.95, 2 Pt 2.91-3.11

Compound: LiErSe2
Source: the Materials Project
Functional: PBE-GGA
Structure: optimized geometry

Results
- ΔH_f (0 K): -177 kJ/mol of atoms

a = 4.0516 Å, b = 4.0516 Å, c = 5.5257 Å
α = 90.00°, β = 90.00°, γ = 90.00°
With the nearest neighbours (Å) after each atom.
Positions (direct):
Er (0.5000, 0.5000, 0.5000)  6 Se 2.76-2.86
Se (0.5000, 0.5000, 0.0000)  2 Er 2.76, 4 Li 2.86
Li (0.0000, 0.0000, 0.0000)  6 Se 2.76-2.86
Se (0.0000, 0.0000, 0.5000)  2 Li 2.76, 4 Er 2.86

Compound: K2TlInCl6
Source: the Materials Project
Functional: PBE-GGA
Structure: optimized geometry

Results
- ΔH_f (0 K): -170 kJ/mol of atoms

a = 7.8724 Å, b = 7.8724 Å, c = 7.8724 Å
α = 60.00°, β = 60.00°, γ = 60.00°
With the nearest neighbours (Å) after each atom.
Positions (direct):
In (0.0000, 0.0000, 0.0000)  6 Cl 2.54
K (0.2500, 0.2500, 0.2500)  12 Cl 3.94
Cl (0.2285, 0.7715, 0.7715)  1 In 2.54
Cl (0.7715, 0.2285, 0.7715)  1 In 2.54
Cl (0.7715, 0.7715, 0.2285)  1 In 2.54
Cl (0.7715, 0.2285, 0.2285)  1 In 2.54
Cl (0.2285, 0.7715, 0.2285)  1 In 2.54
Cl (0.2285, 0.2285, 0.7715)  1 In 2.54
K (0.7500, 0.7500, 0.7500)  12 Cl 3.94
Tl (0.5000, 0.5000, 0.5000)  6 Cl 3.02

no.,ρ (g/cm³)
1,6.91
2,2.37
3,5.69
4,11.75
5,6.08
6,2.94